Below is crystalline TbCl3 at its relaxed geometry, with properties calculated at the r²SCAN level.

a b c (Å): 3.8179 6.3704 8.5301
angles (deg): 90.00 90.00 107.44
Last column: nearest neighbours and their distance in Å.
Positions (direct):
Tb  0.2420  0.4840  0.7500  8 Cl 2.66-2.93
Tb  0.7580  0.5160  0.2500  8 Cl 2.66-2.93
Cl  0.4108  0.8217  0.2500  2 Tb 2.66
Cl  0.1507  0.3014  0.4325  3 Tb 2.79-2.93, 1 Cl 3.11
Cl  0.1507  0.3014  0.0675  3 Tb 2.79-2.93, 1 Cl 3.11
Cl  0.8493  0.6986  0.5675  3 Tb 2.79-2.93, 1 Cl 3.11
Cl  0.8493  0.6986  0.9325  3 Tb 2.79-2.93, 1 Cl 3.11
Cl  0.5892  0.1783  0.7500  2 Tb 2.66

The energy relative to the elements is -2539 meV per atom. For the density, the calculation gives 4.45 g/cm3. Its total energy is -0.5498 hartree per atom.